Record 1
First-principles (r2SCAN) data for a geometry-optimized Lu5Ni2Bi structure, as listed in the Materials Project database.

Geometry as extended XYZ:
```
16
Lattice="5.310 -5.677 3.526 -4.905 -6.794 1.625 0.889 4.316 -7.311" Properties=species:S:1:pos:R:3 pbc="T T T"
Ni 3.010 -6.402 1.950
Ni 1.731 -0.830 -2.147
Ni -0.437 -7.325 -0.013
Ni -1.716 -1.753 -4.110
Lu 1.091 -1.920 -4.735
Lu 1.294 -8.155 -2.160
Lu -2.200 -5.228 0.532
Lu -0.359 -2.713 -1.865
Lu -2.093 -8.523 1.892
Lu 1.653 -5.442 -0.294
Lu 3.387 0.367 -4.053
Lu 1.760 -8.739 1.067
Lu -0.467 0.584 -3.227
Lu 3.494 -2.928 -2.692
Bi 0.990 1.198 -6.023
Bi 1.193 -5.038 -3.447
```

Space-group type   I4/mcm (140)
Total energy   -34.617 eV/atom


Record 2
First-principles (r2SCAN) data for a geometry-optimized V2H structure, as listed in the Materials Project database.

Geometry as extended XYZ:
```
3
Lattice="-1.349 0.833 2.132 2.247 -1.268 0.633 2.640 3.544 -0.299" Properties=species:S:1:pos:R:3 pbc="T T T"
H 3.502 0.488 0.502
V 1.582 2.968 1.516
V 1.826 0.105 0.986
```

Space-group type   C2/m (12)
Total energy   -10.715 eV/atom


Record 3
First-principles (r2SCAN) data for a geometry-optimized SiO2 structure, as listed in the Materials Project database.

Geometry as extended XYZ:
```
12
Lattice="-0.757 -6.558 1.800 3.879 5.205 2.163 -6.070 2.327 2.134" Properties=species:S:1:pos:R:3 pbc="T T T"
O -1.424 -0.882 0.820
O -1.474 0.487 3.049
O -5.404 -3.349 3.114
O -0.457 1.571 0.896
O -3.035 1.163 1.067
O 1.940 2.602 1.082
O -1.734 5.961 3.402
O -0.378 -3.279 0.900
Si -1.595 0.584 1.456
Si 3.059 3.124 2.099
Si 0.063 -4.477 1.864
Si -1.353 0.390 4.641
```

Space-group type   I4/mmm (139)
Total energy   -9.925 eV/atom


Record 4
First-principles (r2SCAN) data for a geometry-optimized YbPu3 structure, as listed in the Materials Project database.

Geometry as extended XYZ:
```
8
Lattice="-4.062 -3.885 3.895 2.900 -2.633 -5.605 4.478 -1.604 3.070" Properties=species:S:1:pos:R:3 pbc="T T T"
Yb 3.938 -4.253 -0.136
Yb -0.622 -3.869 1.496
Pu 0.807 -5.227 -1.298
Pu 1.402 -1.889 -0.422
Pu 2.887 -3.238 -3.293
Pu 2.509 -2.895 2.658
Pu 0.429 -4.884 4.653
Pu 1.914 -6.233 1.782
```

Space-group type   P6_3/mmc (194)
Total energy   -74.013 eV/atom


Record 5
First-principles (r2SCAN) data for a geometry-optimized Pr3Er structure, as listed in the Materials Project database.

Geometry as extended XYZ:
```
4
Lattice="5.184 0.000 0.000 0.000 5.184 0.000 0.000 0.000 5.184" Properties=species:S:1:pos:R:3 pbc="T T T"
Er 0.000 0.000 0.000
Pr 0.000 2.592 2.592
Pr 2.592 0.000 2.592
Pr 2.592 2.592 0.000
```

Space-group type   Pm-3m (221)
Total energy   -30.492 eV/atom


Record 6
First-principles (r2SCAN) data for a geometry-optimized YErCd2 structure, as listed in the Materials Project database.

Geometry as extended XYZ:
```
4
Lattice="3.581 1.222 3.636 1.412 5.003 0.714 -1.447 2.538 4.359" Properties=species:S:1:pos:R:3 pbc="T T T"
Y 0.000 0.000 0.000
Cd 2.659 6.572 6.531
Cd 0.886 2.191 2.177
Er 1.773 4.381 4.354
```

Space-group type   Fm-3m (225)
Total energy   -23.998 eV/atom


Record 7
First-principles (r2SCAN) data for a geometry-optimized NdAs2 structure, as listed in the Materials Project database.

Geometry as extended XYZ:
```
12
Lattice="4.124 0.000 -0.463 0.000 6.896 0.000 -0.017 0.000 10.187" Properties=species:S:1:pos:R:3 pbc="T T T"
As 2.762 0.846 9.377
As 3.398 4.294 5.210
As 0.836 5.898 6.724
As 1.345 6.051 0.348
As 3.271 0.998 3.001
As 2.906 4.446 1.399
As 1.201 2.450 8.326
As 0.709 2.602 4.515
Nd 3.163 4.753 8.393
Nd 2.997 1.305 6.194
Nd 1.110 5.592 3.531
Nd 0.944 2.143 1.332
```

Space-group type   P2_1/c (14)
Total energy   -20.778 eV/atom


Record 8
First-principles (r2SCAN) data for a geometry-optimized P2PbO6 structure, as listed in the Materials Project database.

Geometry as extended XYZ:
```
72
Lattice="8.005 0.000 0.000 0.000 7.299 0.012 0.000 0.351 17.396" Properties=species:S:1:pos:R:3 pbc="T T T"
O 0.822 2.199 5.985
O 6.676 6.779 9.322
O 6.016 4.371 9.418
O 6.661 1.398 14.222
O 5.376 2.608 16.696
O 7.454 0.660 3.260
O 4.554 0.835 11.958
O 2.630 5.043 0.712
O 1.345 6.253 3.186
O 0.456 4.499 14.089
O 5.104 2.103 9.899
O 3.240 1.565 4.113
O 2.658 6.428 11.884
O 4.794 5.983 10.747
O 3.211 1.667 6.661
O 3.547 4.323 5.391
O 2.673 1.047 16.784
O 4.460 2.435 1.683
O 1.256 1.862 1.952
O 3.452 6.815 5.450
O 4.459 3.327 12.017
O 3.546 5.215 15.725
O 7.184 5.451 11.423
O 4.766 6.085 13.295
O 6.632 2.432 7.997
O 2.746 2.038 10.650
O 7.548 2.611 10.382
O 5.259 5.613 6.758
O 1.329 0.871 8.086
O 0.792 1.843 15.359
O 5.348 1.222 5.524
O 1.373 5.218 9.411
O 7.549 3.151 3.319
O 1.989 3.279 7.990
O 5.992 4.196 0.720
O 2.013 3.455 16.688
O 7.214 5.807 2.049
O 0.457 5.039 7.026
O 5.332 6.604 0.624
O 3.181 2.375 14.683
O 7.242 5.909 4.597
O 4.825 5.275 2.725
O 1.101 5.723 16.208
O 0.763 1.741 12.811
O 0.551 6.991 14.148
O 6.904 1.928 1.201
O 6.749 5.788 15.456
O 2.902 5.547 7.509
P 1.574 4.815 7.997
P 0.139 5.673 14.939
P 5.577 2.660 0.713
P 4.141 2.153 11.167
P 7.882 6.418 3.356
P 4.126 6.594 12.054
P 3.880 1.057 5.354
P 2.274 2.139 15.846
P 0.123 1.232 14.052
P 2.428 4.990 16.695
P 6.277 5.687 10.261
P 7.867 1.977 2.469
P 1.728 1.963 7.147
P 5.731 5.512 1.562
P 6.431 2.836 9.411
P 3.864 5.498 6.241
Pb 5.185 3.795 14.346
Pb 0.963 0.396 10.497
Pb 2.820 3.856 3.062
Pb 3.040 0.220 1.798
Pb 1.182 4.031 11.761
Pb 4.965 7.430 15.610
Pb 7.043 7.255 6.911
Pb 6.823 3.619 5.647
```

Space-group type   P2_1/c (14)
Total energy   -14.452 eV/atom


no.,calculated formation energy (eV/atom)
1,-0.51
2,-0.17
3,-3.02
4,-0.11
5,0.04
6,-0.39
7,-1.17
8,-2.22